Crystalline As2Pb4S6ICl at its relaxed geometry, computed with PBE-GGA.

POSCAR file:
```
As2Pb4S6ICl
1.0
-0.221 6.171 2.846
-9.669 0.098 -0.965
-1.111 -4.942 10.631
Pb I As S Cl
8 2 4 12 2
direct
0.500 0.189 0.128
0.000 0.783 0.372
0.000 0.267 0.429
0.500 0.283 0.628
0.000 0.220 0.917
0.000 0.689 0.872
0.500 0.767 0.571
0.500 0.720 0.083
0.500 0.585 0.791
0.000 0.085 0.209
0.500 0.949 0.831
0.000 0.024 0.669
0.500 0.524 0.331
0.000 0.449 0.169
0.000 0.793 0.648
0.751 0.403 0.045
0.753 0.074 0.544
0.000 0.682 0.149
0.747 0.574 0.456
0.749 0.903 0.955
0.247 0.074 0.544
0.500 0.182 0.851
0.253 0.574 0.456
0.251 0.903 0.955
0.500 0.293 0.352
0.249 0.403 0.045
0.000 0.372 0.717
0.500 0.872 0.283
```

Properties
Formation energy from the elements, meV per atom: -723
SG: Pmn2_1



Crystalline Rb2InAsCl6 at its relaxed geometry, computed with PBE-GGA.

POSCAR file:
```
Rb2InAsCl6
1.0
-7.493 -1.371 1.244
-5.338 3.535 -4.311
-4.092 -4.036 -5.152
In Cl As Rb
1 6 1 2
direct
0.500 0.500 0.500
0.232 0.768 0.768
0.768 0.768 0.232
0.768 0.232 0.232
0.768 0.232 0.768
0.232 0.768 0.232
0.232 0.232 0.768
0.000 0.000 0.000
0.750 0.750 0.750
0.250 0.250 0.250
```

Properties
Formation energy from the elements, meV per atom: -1600
SG: Fm-3m



Crystalline KAs4ClO6 at its relaxed geometry, computed with PBE-GGA.

POSCAR file:
```
KAs4ClO6
1.0
2.666 -4.618 0.000
2.666 4.618 0.000
0.000 0.000 9.168
O As K Cl
6 4 1 1
direct
0.000 0.500 0.313
0.500 0.500 0.687
0.500 0.000 0.313
0.500 0.000 0.687
0.500 0.500 0.313
0.000 0.500 0.687
0.333 0.667 0.204
0.667 0.333 0.796
0.667 0.333 0.204
0.333 0.667 0.796
0.000 0.000 0.500
0.000 0.000 0.000
```

Properties
Formation energy from the elements, meV per atom: -1685
SG: P6/mmm



What did the first record say?
Crystalline As2Pb4S6ICl at its relaxed geometry, computed with PBE-GGA.

POSCAR file:
```
As2Pb4S6ICl
1.0
-0.221 6.171 2.846
-9.669 0.098 -0.965
-1.111 -4.942 10.631
Pb I As S Cl
8 2 4 12 2
direct
0.500 0.189 0.128
0.000 0.783 0.372
0.000 0.267 0.429
0.500 0.283 0.628
0.000 0.220 0.917
0.000 0.689 0.872
0.500 0.767 0.571
0.500 0.720 0.083
0.500 0.585 0.791
0.000 0.085 0.209
0.500 0.949 0.831
0.000 0.024 0.669
0.500 0.524 0.331
0.000 0.449 0.169
0.000 0.793 0.648
0.751 0.403 0.045
0.753 0.074 0.544
0.000 0.682 0.149
0.747 0.574 0.456
0.749 0.903 0.955
0.247 0.074 0.544
0.500 0.182 0.851
0.253 0.574 0.456
0.251 0.903 0.955
0.500 0.293 0.352
0.249 0.403 0.045
0.000 0.372 0.717
0.500 0.872 0.283
```

Properties
Formation energy from the elements, meV per atom: -723
SG: Pmn2_1